# 1
A plane-wave DFT calculation with PBE-GGA was carried out for a geometry-optimized UO2F2 structure.

Lattice parameters (Å, degrees): 6.1443 6.1443 6.1443 40.42 40.42 40.42
Last column: nearest neighbours and their distance in Å.
Element x y z (fractional)
U1 0.0000 0.0000 0.0000  2 O 1.78
O1 0.1052 0.1052 0.1052  1 U 1.78
O2 0.8948 0.8948 0.8948  1 U 1.78
F1 0.3394 0.3394 0.3394  3 U 2.45, 3 F 2.46
F2 0.6606 0.6606 0.6606  3 U 2.45, 3 F 2.46

**Excess energy over the best structure of this formula in the dataset**: 0.00 eV/f.u.
**Energy**: -41.1 eV for the cell shown
**Volume**: 88 Å³ per cell

---

# 2
A plane-wave DFT calculation with PBE-GGA was carried out for a geometry-optimized NaCaSiO4 structure.

Lattice parameters (Å, degrees): 5.4233 5.4233 7.2070 90.00 90.00 116.54
Last column: nearest neighbours and their distance in Å.
Element x y z (fractional)
Na1 0.1818 0.8182 0.7500  4 O 2.34-2.48
Na2 0.8182 0.1818 0.2500  4 O 2.34-2.48
Ca1 0.4963 0.4963 0.0000  6 O 2.36-2.40
Ca2 0.5037 0.5037 0.5000  6 O 2.36-2.40
Si1 0.1444 0.8556 0.2500  4 O 1.64-1.66
Si2 0.8556 0.1444 0.7500  4 O 1.64-1.66
O1 0.1929 0.2798 0.7443  1 Si 1.64
O2 0.2260 0.7300 0.4374  1 Si 1.66
O3 0.2700 0.7740 0.0626  1 Si 1.66
O4 0.2798 0.1929 0.2557  1 Si 1.64
O5 0.7202 0.8071 0.7557  1 Si 1.64
O6 0.7300 0.2260 0.5626  1 Si 1.66
O7 0.7740 0.2700 0.9374  1 Si 1.66
O8 0.8071 0.7202 0.2443  1 Si 1.64

**Excess energy over the best structure of this formula in the dataset**: 0.04 eV/f.u.
**Energy**: -91.0 eV for the cell shown
**Magnetization**: 2.00 Bohr magnetons per cell
**Volume**: 190 Å³ per cell

---

# 3
A plane-wave DFT calculation with PBE-GGA was carried out for a geometry-optimized Gd2InAg structure.

Lattice parameters (Å, degrees): 3.7148 3.7148 7.6730 90.00 90.00 90.00
Last column: nearest neighbours and their distance in Å.
Element x y z (fractional)
Gd1 0.0000 0.0000 0.2346  4 Ag 3.18, 4 In 3.32
Gd2 0.0000 0.0000 0.7654  4 Ag 3.18, 4 In 3.32
In1 0.5000 0.5000 0.5000  8 Gd 3.32, 4 In 3.71
Ag1 0.5000 0.5000 0.0000  8 Gd 3.18

**Energy**: -35.4 eV for the cell shown
**Volume**: 106 Å³ per cell